Here is a relaxed structure of Nd2Ga2Co15 from the Materials Project. Energies are from PBE.

- SG: R-3m
- V: 13.34 Å³/atom
- Energy relative to the elements: -8 kJ/mol of atoms

a = 6.371 Å, b = 6.371 Å, c = 6.371 Å
α = 83.12°, β = 83.12°, γ = 83.12°
Sites, in units of the cell vectors:
Nd: 0.649 0.649 0.649
Nd: 0.351 0.351 0.351
Ga: 0.893 0.893 0.893
Ga: 0.107 0.107 0.107
Co: 0.000 0.000 0.500
Co: 0.500 0.000 0.000
Co: 0.000 0.500 0.000
Co: 0.714 0.286 0.000
Co: 0.000 0.714 0.286
Co: 0.286 0.000 0.714
Co: 0.000 0.286 0.714
Co: 0.714 0.000 0.286
Co: 0.286 0.714 0.000
Co: 0.348 0.348 0.850
Co: 0.850 0.348 0.348
Co: 0.348 0.850 0.348
Co: 0.652 0.652 0.150
Co: 0.150 0.652 0.652
Co: 0.652 0.150 0.652